Entry 1:
An optimized crystal structure of YMo6S8, computed with meta-GGA r2SCAN.

abc: 9.1376 9.1376 11.3189
angles: 90.00 90.00 120.00
Space group R-3 (No. 148, hexagonal axes)
Asymmetric unit:
Y (0.0000, 0.0000, 0.0000) x3
Mo (0.0177, 0.1756, 0.4022) x18
S (0.0000, 0.0000, 0.2384) x6
S (0.0017, 0.6221, 0.7490) x18

Computed properties:
**Formation energy**: -1.048 eV/atom
**Calculated density**: 5.61 g/cm³



Entry 2:
An optimized crystal structure of Hf3Cu8, computed with meta-GGA r2SCAN.

abc: 7.748 8.033 9.864
angles: 90.00 90.00 90.00
Space group Pnma (No. 62)
Asymmetric unit:
Hf (0.041, 0.250, 0.047) x4
Hf (0.062, 0.554, 0.641) x8
Cu (0.116, 0.750, 0.403) x4
Cu (0.121, 0.578, 0.160) x8
Cu (0.130, 0.250, 0.766) x4
Cu (0.176, 0.250, 0.517) x4
Cu (0.199, 0.501, 0.907) x8
Cu (0.216, 0.250, 0.274) x4

Computed properties:
**Formation energy**: -0.179 eV/atom
**Calculated density**: 11.29 g/cm³